No. 1
CaNi12B6 | meta-GGA r2SCAN | optimized geometry

## Properties
* space-group type: No. 166

a b c (Å): 5.977 5.977 5.977
angles (deg): 104.46 104.46 104.46
Fractional positions:
Ca 0.000 0.000 0.000
Ni 0.500 0.869 0.131
Ni 0.456 0.456 0.187
Ni 0.187 0.456 0.456
Ni 0.544 0.813 0.544
Ni 0.813 0.544 0.544
Ni 0.544 0.544 0.813
Ni 0.131 0.500 0.869
Ni 0.869 0.131 0.500
Ni 0.500 0.131 0.869
Ni 0.869 0.500 0.131
Ni 0.131 0.869 0.500
Ni 0.456 0.187 0.456
B 0.765 0.765 0.334
B 0.334 0.765 0.765
B 0.765 0.334 0.765
B 0.666 0.235 0.235
B 0.235 0.235 0.666
B 0.235 0.666 0.235


No. 2
NbCr2 | meta-GGA r2SCAN | optimized geometry

## Properties
* space-group type: No. 227

a b c (Å): 4.899 4.899 4.899
angles (deg): 60.00 60.00 60.00
Fractional positions:
Nb 0.125 0.125 0.125
Nb 0.875 0.875 0.875
Cr 0.500 0.000 0.500
Cr 0.000 0.500 0.500
Cr 0.500 0.500 0.500
Cr 0.500 0.500 0.000


No. 3
KMnF3 | meta-GGA r2SCAN | optimized geometry

## Properties
* space-group type: No. 74

a b c (Å): 5.897 5.897 5.897
angles (deg): 120.05 119.63 90.27
Fractional positions:
K 0.753 0.750 0.003
K 0.247 0.250 0.997
Mn 0.000 0.500 0.500
Mn 0.500 0.000 0.500
F 0.702 0.250 0.452
F 0.298 0.750 0.548
F 0.775 0.775 0.500
F 0.225 0.725 0.000
F 0.225 0.225 0.500
F 0.775 0.275 0.000


No. 4
Ba3Cr2O8 | meta-GGA r2SCAN | optimized geometry

## Properties
* space-group type: No. 166

a b c (Å): 7.906 7.906 7.906
angles (deg): 42.75 42.75 42.75
Fractional positions:
Ba 0.794 0.794 0.794
Ba 0.206 0.206 0.206
Ba 0.000 0.000 0.000
Cr 0.593 0.593 0.593
Cr 0.407 0.407 0.407
O 0.671 0.671 0.671
O 0.329 0.329 0.329
O 0.274 0.274 0.756
O 0.274 0.756 0.274
O 0.756 0.274 0.274
O 0.726 0.244 0.726
O 0.726 0.726 0.244
O 0.244 0.726 0.726


No. 5
CaAc3 | meta-GGA r2SCAN | optimized geometry

## Properties
* space-group type: No. 194

a b c (Å): 8.052 8.052 6.609
angles (deg): 90.00 90.00 120.00
Fractional positions:
Ca 0.333 0.667 0.750
Ca 0.667 0.333 0.250
Ac 0.168 0.336 0.250
Ac 0.664 0.832 0.250
Ac 0.168 0.832 0.250
Ac 0.832 0.664 0.750
Ac 0.336 0.168 0.750
Ac 0.832 0.168 0.750


No. 6
CuPt7 | meta-GGA r2SCAN | optimized geometry

## Properties
* space-group type: No. 225

a b c (Å): 5.524 5.524 5.524
angles (deg): 60.00 60.00 60.00
Fractional positions:
Cu 0.500 0.500 0.500
Pt 0.000 0.000 0.000
Pt 0.500 0.000 0.000
Pt 0.000 0.000 0.500
Pt 0.500 0.500 0.000
Pt 0.000 0.500 0.500
Pt 0.000 0.500 0.000
Pt 0.500 0.000 0.500


No. 7
Ir3S8 | meta-GGA r2SCAN | optimized geometry

## Properties
* space-group type: No. 148

a b c (Å): 5.688 5.688 5.688
angles (deg): 89.26 90.74 90.74
Fractional positions:
Ir 0.500 0.500 0.000
Ir 0.000 0.500 0.500
Ir 0.500 0.000 0.500
S 0.110 0.110 0.396
S 0.604 0.890 0.110
S 0.890 0.396 0.890
S 0.890 0.890 0.604
S 0.396 0.110 0.890
S 0.110 0.604 0.110
S 0.372 0.628 0.628
S 0.628 0.372 0.372


No. 8
Rb3HoF6 | meta-GGA r2SCAN | optimized geometry

## Properties
* space-group type: No. 139

a b c (Å): 6.864 6.864 6.864
angles (deg): 91.32 119.24 119.24
Fractional positions:
Rb 0.500 0.750 0.250
Rb 0.500 0.250 0.750
Rb 0.000 0.500 0.500
Ho 0.000 0.000 0.000
F 0.693 0.000 0.693
F 0.307 0.000 0.307
F 0.693 0.693 0.000
F 0.307 0.307 0.000
F 0.000 0.228 0.228
F 0.000 0.772 0.772


| no. | calculated formation energy (eV per atom) |
| --- | --- |
| 1 | -0.354 |
| 2 | 0.155 |
| 3 | -3.010 |
| 4 | -2.675 |
| 5 | 0.028 |
| 6 | -0.106 |
| 7 | -0.422 |
| 8 | -3.456 |